Entry 1:
Here is an optimized crystal structure of Cu8O7 from the Materials Project database. Energies are from PBE-GGA.

Cell: 5.8500 5.8500 6.4015 Å, 64.27 64.27 89.96°
Sites, in units of the cell vectors:
Cu (0.4995, 0.4895, 0.7730)
Cu (0.0078, 0.0029, 0.7412)
Cu (0.9971, 0.9922, 0.2588)
Cu (0.9970, 0.5006, 0.2587)
Cu (0.5105, 0.5005, 0.2270)
Cu (0.4994, 0.0030, 0.7413)
Cu (0.5064, 0.0021, 0.2355)
Cu (0.9979, 0.4936, 0.7645)
O (0.8681, 0.1319, 0.5000)
O (0.6334, 0.8692, 0.9912)
O (0.1308, 0.3666, 0.0088)
O (0.3847, 0.1401, 0.4693)
O (0.3794, 0.6206, 0.5000)
O (0.1299, 0.8701, 0.0000)
O (0.8599, 0.6153, 0.5307)

Results
calculated volume = 173.0 Å³/f.u.
energy above the lowest structure with this stoichiometry = 15 meV/atom
energy of formation from the pure elements = -0.82 eV per atom

***

Entry 2:
Here is an optimized crystal structure of Cu64O from the Materials Project database. Energies are from PBE-GGA.

Cell: 8.9011 8.9011 10.2953 Å, 90.00 90.00 109.90°
Sites, in units of the cell vectors:
Cu (0.0625, 0.6860, 0.5000)
Cu (0.5570, 0.9374, 0.1284)
Cu (0.5629, 0.1886, 0.7489)
Cu (0.5634, 0.9377, 0.6237)
Cu (0.5631, 0.4369, 0.8742)
Cu (0.8127, 0.6877, 0.6248)
Cu (0.3180, 0.9373, 0.2547)
Cu (0.3134, 0.6866, 0.6244)
Cu (0.5570, 0.9374, 0.8716)
Cu (0.0633, 0.1893, 0.2530)
Cu (0.3156, 0.1898, 0.1265)
Cu (0.0633, 0.6862, 0.0000)
Cu (0.8102, 0.6844, 0.8735)
Cu (0.0627, 0.6820, 0.7453)
Cu (0.3138, 0.9367, 0.0000)
Cu (0.8127, 0.6877, 0.3752)
Cu (0.3140, 0.9375, 0.5000)
Cu (0.5627, 0.6868, 0.5000)
Cu (0.8099, 0.1901, 0.8734)
Cu (0.3134, 0.6866, 0.3756)
Cu (0.8102, 0.6844, 0.1265)
Cu (0.8119, 0.9375, 0.5000)
Cu (0.5572, 0.6830, 0.0000)
Cu (0.5623, 0.4377, 0.6246)
Cu (0.0627, 0.6820, 0.2547)
Cu (0.0714, 0.2204, 0.0000)
Cu (0.3123, 0.1873, 0.3752)
Cu (0.3117, 0.6883, 0.8739)
Cu (0.0623, 0.4366, 0.6237)
Cu (0.8126, 0.1874, 0.3750)
Cu (0.5634, 0.9377, 0.3763)
Cu (0.8114, 0.4371, 0.2511)
Cu (0.5620, 0.1876, 0.0000)
Cu (0.7796, 0.9286, 0.0000)
Cu (0.8099, 0.1901, 0.1266)
Cu (0.0741, 0.9259, 0.8500)
Cu (0.8120, 0.4373, 0.5000)
Cu (0.0625, 0.1881, 0.5000)
Cu (0.5620, 0.6873, 0.7498)
Cu (0.3127, 0.4380, 0.2502)
Cu (0.5627, 0.1880, 0.5000)
Cu (0.5620, 0.6873, 0.2502)
Cu (0.3132, 0.4373, 0.5000)
Cu (0.0633, 0.1893, 0.7470)
Cu (0.0626, 0.4430, 0.8716)
Cu (0.3156, 0.1898, 0.8735)
Cu (0.0626, 0.4430, 0.1284)
Cu (0.0627, 0.9373, 0.6189)
Cu (0.8114, 0.4371, 0.7489)
Cu (0.8107, 0.9367, 0.2530)
Cu (0.0741, 0.9259, 0.1500)
Cu (0.5631, 0.4369, 0.1258)
Cu (0.0627, 0.9373, 0.3811)
Cu (0.3180, 0.9373, 0.7453)
Cu (0.8126, 0.1874, 0.6250)
Cu (0.0623, 0.4366, 0.3763)
Cu (0.3127, 0.4380, 0.7498)
Cu (0.3123, 0.1873, 0.6248)
Cu (0.3117, 0.6883, 0.1261)
Cu (0.8124, 0.4380, 0.0000)
Cu (0.3170, 0.4428, 0.0000)
Cu (0.5623, 0.4377, 0.3754)
Cu (0.5629, 0.1886, 0.2511)
Cu (0.8107, 0.9367, 0.7470)
O (0.0026, 0.9974, 0.0000)

Results
calculated volume = 767.0 Å³/f.u.
energy of formation from the pure elements = 0.00 eV per atom